Here is MnFeBiO5 after structural relaxation from the Materials Project. Energies are from GGA+U.

Properties
Calculated volume ... 393.24 Å³ per cell
VASP energy ... -6.557 eV per atom
E above lowest polymorph ... 0.0601 eV per atom
Energy of formation from the pure elements ... -1.695 eV/atom
Space-group type ... Pbam

Structure (extended XYZ):
```
32
Lattice="-3.183 3.237 -3.887 4.354 -2.536 -5.678 -5.395 -6.687 -1.151" Properties=species:S:1:pos:R:3 pbc="T T T"
Fe -0.189 1.139 -5.729
O -2.780 -2.313 -6.174
Bi 1.099 -3.883 -4.134
O -1.824 0.051 -5.304
O -2.400 -6.037 -5.412
O -0.923 0.939 -1.127
O -0.268 -1.531 -3.404
Mn 1.527 -1.626 -7.199
O -1.443 -3.673 -4.541
O -0.104 -1.783 -8.240
Bi -2.139 -5.339 -2.695
O 2.582 -2.055 -3.826
O -3.173 -1.582 -3.314
O 0.832 -0.585 -5.763
Bi -0.825 -7.677 -5.718
O -4.119 -4.202 -2.475
Fe -3.514 -2.513 -1.572
O 0.647 -5.842 -5.395
Fe 1.361 -0.438 -3.836
O -3.623 -7.167 -3.003
O -3.955 -4.455 -7.311
O -5.675 -2.620 -4.375
Mn -2.444 -4.228 -6.114
Fe -5.064 -0.937 -3.465
O -2.260 2.298 -2.760
O -1.051 -4.403 -7.401
Mn -1.780 -1.758 -4.601
O 1.452 -3.365 -6.341
O -1.687 -3.380 -1.434
Mn -5.750 -4.360 -3.516
O -5.055 -5.400 -4.952
Bi -0.215 -1.545 -1.111
```

Here is SrMnFeBiO6 after structural relaxation from the Materials Project. Energies are from GGA+U.

Properties
Calculated volume ... 115.16 Å³ per cell
VASP energy ... -6.544 eV per atom
Energy of formation from the pure elements ... -2.059 eV/atom
Space-group type ... R3

Structure (extended XYZ):
```
10
Lattice="4.680 -2.748 0.000 4.680 2.748 0.000 3.067 0.000 4.478" Properties=species:S:1:pos:R:3 pbc="T T T"
Fe 6.212 0.000 2.238
O 7.803 -0.266 1.099
O 5.337 -1.578 1.403
O 4.625 0.365 3.379
Bi 9.335 0.000 3.364
Mn 12.417 0.000 4.474
O 5.551 1.213 0.808
O 6.905 -1.263 3.590
O 7.061 1.529 3.156
Sr 3.100 0.000 1.117
```

Here is NaSrFeBiO6 after structural relaxation from the Materials Project. Energies are from GGA+U.

Properties
Calculated volume ... 137.71 Å³ per cell
VASP energy ... -5.630 eV per atom
Energy of formation from the pure elements ... -1.762 eV/atom
Space-group type ... F-43m

Structure (extended XYZ):
```
10
Lattice="-3.860 4.299 -0.470 -5.672 -1.149 0.331 -3.034 1.692 4.640" Properties=species:S:1:pos:R:3 pbc="T T T"
Fe -6.283 2.421 2.251
O -6.580 4.157 3.184
Bi 0.000 0.000 0.000
O -4.703 2.066 3.413
O -7.461 1.508 3.574
Sr -9.424 3.631 3.376
Na -3.141 1.210 1.125
O -5.986 0.685 1.317
O -5.105 3.334 0.928
O -7.863 2.775 1.088
```

Here is NdFe5Bi4O15 after structural relaxation from the Materials Project. Energies are from GGA+U.

Properties
Calculated volume ... 348.38 Å³ per cell
VASP energy ... -6.457 eV per atom
Energy of formation from the pure elements ... -1.845 eV/atom
Space-group type ... P1

Structure (extended XYZ):
```
25
Lattice="-3.608 -1.040 0.029 5.603 21.350 -0.427 0.031 0.070 -4.894" Properties=species:S:1:pos:R:3 pbc="T T T"
O -1.604 5.385 -1.721
Bi 1.495 8.315 -0.493
Fe 0.229 5.805 -2.437
Fe 1.737 14.175 -2.638
Fe -2.365 1.220 -2.383
O -0.526 1.615 -1.693
O 2.247 12.363 -1.898
O 0.968 10.019 -1.848
O 2.491 18.353 -1.984
O 4.275 18.728 -4.584
O 2.735 10.488 -4.439
Bi 0.527 11.961 -0.496
O -0.319 7.687 -1.805
O 3.779 20.680 -2.051
O 3.539 14.696 -1.924
Nd -1.082 3.554 -0.196
Bi 3.107 16.641 -0.582
O 1.662 14.091 -4.491
Fe 2.772 10.542 -2.594
O 0.733 4.013 -1.762
O 0.323 5.542 -4.281
Fe 4.304 18.847 -2.739
Bi 5.590 21.298 -0.764
O -2.401 1.355 -4.247
O 1.206 16.004 -1.968
```

Here is FeBi25O39 after structural relaxation from the Materials Project. Energies are from GGA+U.

Properties
Calculated volume ... 1107.95 Å³ per cell
VASP energy ... -5.767 eV per atom
Energy of formation from the pure elements ... -1.619 eV/atom
Space-group type ... P1

Structure (extended XYZ):
```
65
Lattice="8.970 0.000 0.000 -3.004 8.453 0.000 -0.021 -0.057 14.611" Properties=species:S:1:pos:R:3 pbc="T T T"
O 2.206 0.089 5.444
O 4.905 4.166 7.354
Bi 5.848 8.225 14.392
Bi 5.875 6.138 8.685
O 2.284 6.338 1.922
O -0.632 3.616 4.537
Bi 2.237 4.884 3.752
O 6.619 4.782 2.798
O -2.213 6.214 5.599
O 0.708 5.886 13.779
Bi 3.863 7.595 5.937
Bi -0.050 6.197 6.290
Bi 2.225 0.712 8.475
Bi -2.095 7.954 3.640
O -0.648 6.912 8.195
O 2.307 7.784 11.844
Bi 2.243 6.978 9.636
O 5.326 7.557 1.693
O 2.623 8.387 14.604
Bi 5.804 2.103 8.263
O 2.353 3.308 5.732
O 3.635 3.618 2.798
O 7.040 5.266 14.603
O 1.137 1.607 2.838
Fe 2.971 4.212 7.306
O -0.458 4.202 7.313
Bi 5.858 1.930 13.576
Bi 2.891 0.162 12.132
O 2.290 3.318 8.882
O 4.114 5.815 10.097
O 3.725 1.965 12.864
O -0.781 3.628 12.031
Bi 3.842 3.720 10.877
Bi -0.139 6.212 1.112
Bi 2.827 1.963 1.410
Bi 8.119 0.720 10.807
Bi -0.780 2.754 2.443
O 6.784 4.694 9.946
O 8.204 0.393 4.567
O 6.644 0.012 9.068
O 6.752 1.709 6.425
O 2.166 4.586 11.853
O 1.992 0.024 0.074
O 2.340 6.029 7.353
O -0.597 2.107 9.196
O 5.326 2.700 0.869
Bi 2.891 8.332 2.276
O 5.180 4.296 12.660
Bi 6.957 5.364 12.296
O 0.608 4.188 1.734
O -0.617 1.883 0.018
O -2.411 7.813 10.104
Bi 3.867 1.343 5.076
O 3.741 0.500 2.630
Bi 0.915 3.233 13.266
Bi 5.186 4.905 1.253
O 3.610 0.610 10.076
O 4.127 5.827 4.540
Bi -0.034 2.312 6.083
Bi 5.865 4.420 4.930
O 4.134 0.976 7.313
O 1.077 1.512 11.880
Bi 2.748 6.438 13.406
O 2.189 7.943 4.695
Bi 0.055 4.120 9.457
```

Here is Fe5Bi3O12 after structural relaxation from the Materials Project. Energies are from GGA+U.

Properties
Calculated volume ... 1008.39 Å³ per cell
VASP energy ... -6.268 eV per atom
Energy of formation from the pure elements ... -1.575 eV/atom
Space-group type ... Ia-3d

Structure (extended XYZ):
```
80
Lattice="-6.317 6.317 6.317 6.317 -6.317 6.317 6.317 6.317 -6.317" Properties=species:S:1:pos:R:3 pbc="T T T"
O 4.508 6.694 5.705
O -1.350 2.547 9.853
O 9.853 -1.350 2.547
O 8.126 0.377 0.612
O 4.508 0.377 6.929
Fe 3.159 3.159 -3.159
Bi 1.579 0.000 3.159
O 2.781 -1.350 8.864
O -0.377 0.612 1.809
O 2.781 4.967 3.771
O 2.547 2.781 7.667
O 7.667 3.771 -3.536
O 0.612 8.126 0.377
Bi 3.159 7.896 0.000
O 5.940 -0.612 1.809
Fe 0.000 6.317 0.000
O 4.508 5.940 0.612
O -0.612 1.809 5.940
Fe 3.159 1.579 6.317
Bi 6.317 3.159 -1.579
Fe 0.000 9.476 1.579
O 3.536 7.667 -2.547
O 5.705 4.508 6.694
O 2.547 9.853 -1.350
O 0.377 6.929 4.508
Bi 0.000 3.159 1.579
O -1.350 8.864 2.781
Fe 6.317 -3.159 4.738
O -1.809 5.940 5.705
Fe 3.159 3.159 3.159
O 7.667 2.547 2.781
Fe 0.000 0.000 0.000
Bi 3.159 -1.579 6.317
Fe 6.317 3.159 1.579
O 7.667 -2.547 3.536
Bi 3.159 1.579 0.000
O 2.781 7.667 2.547
Fe 4.738 0.000 3.159
Bi 0.000 3.159 7.896
Fe 9.476 1.579 0.000
O 3.771 -3.536 7.667
O -2.547 3.536 7.667
O 5.940 0.612 4.508
O 3.771 3.536 -1.350
O 2.547 3.536 1.350
O 1.809 5.940 -0.612
Bi 3.159 4.738 6.317
Bi -1.579 6.317 3.159
O 8.864 2.781 -1.350
Fe 1.579 0.000 9.476
O 4.967 3.771 2.781
O 5.705 1.809 0.377
Fe 0.000 3.159 4.738
O 0.612 4.508 5.940
Fe 3.159 4.738 0.000
O 0.612 1.809 -0.377
Fe 1.579 6.317 3.159
Bi 6.317 3.159 4.738
O -3.536 7.667 3.771
O 0.377 0.612 8.126
O 3.536 1.350 2.547
Fe 3.159 -3.159 3.159
O -1.350 3.771 3.536
Bi 7.896 0.000 3.159
O 3.536 -1.350 3.771
Fe 6.317 0.000 0.000
Fe 0.000 0.000 6.317
O 1.809 -0.377 0.612
O 0.377 5.705 1.809
O 5.705 -1.809 5.940
O 5.940 5.705 -1.809
O 1.809 0.377 5.705
O 6.929 4.508 0.377
O 6.694 5.705 4.508
Fe -3.159 4.738 6.317
Bi 4.738 6.317 3.159
O 1.350 2.547 3.536
Fe 4.738 6.317 -3.159
O 3.771 2.781 4.967
Fe -3.159 3.159 3.159
```